(1)
Density functional theory data (PBE) for a geometry-optimized Sr10Cu5Bi10O29 structure.

Values from the calculation:
E above lowest polymorph in meV per atom: 401
Formation enthalpy at 0 K in eV per atom: -1.628
MP2020-corrected energy in eV per atom: -5.698
Calculated density in g/cm³: 6.82

abc: 5.4034 13.8841 25.1443
angles: 81.98 83.83 78.78
Closest atoms and distances in Å follow each position.
Space group P1 (No. 1)
One atom of each set of equivalent atoms:
Sr (0.0000, 0.0000, 0.0000)  3 O 2.33-2.60
Sr (0.0033, 0.1911, 0.8062)  3 O 2.42-2.59, 1 Cu 2.68
Sr (0.3564, 0.4105, 0.3542)  3 O 2.36-2.58
Sr (0.3787, 0.2025, 0.5446)  3 O 2.32-2.58
Sr (0.3895, 0.5885, 0.1565)  2 O 2.32-2.34
Sr (0.4227, 0.9770, 0.7375)  2 O 2.21-2.44
Sr (0.4305, 0.5241, 0.5185)  3 O 2.17-2.29
Sr (0.4349, 0.7577, 0.9557)  3 O 2.23-2.49
Sr (0.4396, 0.7434, 0.3003)  2 O 2.19-2.39
Sr (0.4842, 0.2986, 0.7114)  3 O 2.28-2.41
Sr (0.4886, 0.9126, 0.0996)  3 O 2.29-2.37
Sr (0.5148, 0.0906, 0.9018)  3 O 2.30-2.42
Sr (0.8595, 0.3100, 0.4498)  3 O 2.33-2.39
Sr (0.8643, 0.5011, 0.2560)  3 O 2.35-2.40
Sr (0.8984, 0.0903, 0.6391)  3 O 2.23-2.37
Sr (0.9115, 0.6718, 0.0559)  3 O 2.24-2.36
Sr (0.9243, 0.6358, 0.4103)  2 O 2.22-2.24
Sr (0.9270, 0.8653, 0.8457)  2 O 2.19-2.20
Sr (0.9510, 0.4108, 0.6169)  2 O 2.24-2.39
Sr (0.9588, 0.8293, 0.2001)  2 O 2.30-2.34
Cu (0.1305, 0.4268, 0.4837)  4 O 1.87-1.94
Cu (0.1393, 0.6258, 0.2828)  4 O 1.87-1.97
Cu (0.1942, 0.1923, 0.6759)  4 O 1.87-1.95
Cu (0.1998, 0.7930, 0.0767)  4 O 1.86-1.93
Cu (0.2350, 0.9703, 0.8723)  4 O 1.87-1.90
Cu (0.6271, 0.5308, 0.3837)  4 O 1.88-1.93
Cu (0.6631, 0.3088, 0.5801)  4 O 1.87-1.99
Cu (0.6733, 0.7081, 0.1794)  4 O 1.86-1.95
Cu (0.7262, 0.0743, 0.7724)  4 O 1.89-1.99
Cu (0.7294, 0.8753, 0.9732)  4 O 1.87-1.96
Bi (0.0647, 0.5964, 0.6614)  2 O 2.08-2.22
Bi (0.1093, 0.0192, 0.2368)  3 O 2.13-2.32
Bi (0.1417, 0.3696, 0.8571)  2 O 2.14-2.35
Bi (0.1431, 0.1845, 0.0427)  3 O 2.13-2.35
Bi (0.2226, 0.2262, 0.3071)  2 O 2.14-2.36
Bi (0.2390, 0.0244, 0.4949)  3 O 2.16-2.34
Bi (0.2571, 0.3992, 0.1159)  3 O 2.11-2.34
Bi (0.2613, 0.7881, 0.6983)  2 O 2.07-2.13
Bi (0.3567, 0.5765, 0.9050)  1 O 2.08
Bi (0.5848, 0.7130, 0.5578)  3 O 2.12-2.26
Bi (0.6612, 0.4767, 0.7611)  3 O 2.18-2.28
Bi (0.6654, 0.9246, 0.3511)  2 O 2.12-2.24
Bi (0.6667, 0.1019, 0.1402)  3 O 2.14-2.24
Bi (0.6861, 0.1315, 0.3989)  3 O 2.18-2.43
Bi (0.6868, 0.2749, 0.9489)  4 O 2.18-2.44
Bi (0.6891, 0.3166, 0.2133)  3 O 2.19-2.29
Bi (0.7025, 0.9047, 0.5946)  3 O 2.12-2.27
Bi (0.7164, 0.6552, 0.8129)  1 O 2.27
Bi (0.7417, 0.4819, 0.0192)  3 O 2.17-2.21
Bi (0.9957, 0.8392, 0.4457)  1 O 2.11
O (0.0001, 0.0156, 0.8202)  2 Cu 1.88-1.99
O (0.0384, 0.7117, 0.9338)  1 Bi 2.42, 1 Sr 2.49
O (0.0568, 0.9425, 0.3179)  2 Bi 2.18-2.24
O (0.0639, 0.4658, 0.7697)  2 Bi 2.18-2.44
O (0.0764, 0.1049, 0.1282)  2 Bi 2.21-2.30
O (0.0931, 0.2733, 0.9461)  1 Bi 2.18
O (0.2809, 0.1378, 0.3968)  2 Bi 2.18-2.43
O (0.2817, 0.3163, 0.2196)  2 Bi 2.19-2.40
O (0.2880, 0.9390, 0.5785)  2 Bi 2.27-2.28, 1 O 2.51
O (0.3332, 0.4762, 0.0324)  2 Bi 2.21-2.25
O (0.3445, 0.7085, 0.7750)  2 Bi 2.13-2.27
O (0.3719, 0.4855, 0.4358)  2 Cu 1.90-1.93
O (0.3741, 0.4643, 0.6296)  1 Bi 2.39, 1 Sr 2.60
O (0.3736, 0.5808, 0.3358)  2 Cu 1.89
O (0.3853, 0.3707, 0.5336)  2 Cu 1.94-1.99, 1 Sr 2.17
O (0.3908, 0.8836, 0.2084)  1 Bi 2.32
O (0.4076, 0.6667, 0.2313)  2 Cu 1.95
O (0.4283, 0.0509, 0.0101)  1 Bi 2.35, 1 Sr 2.60
O (0.4278, 0.2399, 0.8209)  1 Bi 2.35, 1 Sr 2.59
O (0.4287, 0.2515, 0.6287)  2 Cu 1.87
O (0.4308, 0.7528, 0.1288)  2 Cu 1.86-1.88
O (0.4552, 0.1352, 0.7249)  2 Cu 1.95-1.97
O (0.4629, 0.8351, 0.0261)  2 Cu 1.92-1.96
O (0.4746, 0.2612, 0.4351)  1 Bi 2.19, 1 Sr 2.39
O (0.4757, 0.4502, 0.2459)  1 Bi 2.20, 1 Sr 2.39
O (0.4774, 0.0244, 0.8249)  2 Cu 1.87-1.94
O (0.4832, 0.9179, 0.9220)  2 Cu 1.90
O (0.5202, 0.0368, 0.6264)  1 Bi 2.12, 1 Sr 2.37
O (0.5310, 0.6175, 0.0477)  1 Bi 2.17, 1 Sr 2.36
O (0.6106, 0.8283, 0.6765)  2 Bi 2.07-2.23
O (0.6155, 0.2278, 0.3100)  1 Bi 2.14
O (0.6347, 0.0353, 0.4863)  1 Bi 2.16
O (0.6399, 0.3962, 0.1278)  2 Bi 2.11-2.29
O (0.6591, 0.7926, 0.4811)  2 Bi 2.11-2.12
O (0.7024, 0.5585, 0.9381)  2 Bi 2.08-2.17
O (0.7047, 0.5621, 0.6776)  2 Bi 2.08-2.28
O (0.7233, 0.0249, 0.2237)  2 Bi 2.13-2.24
O (0.7490, 0.3633, 0.8592)  1 Bi 2.14
O (0.7539, 0.1848, 0.0364)  1 Bi 2.13
O (0.7788, 0.5862, 0.5190)  1 Bi 2.16, 1 Sr 2.22
O (0.8392, 0.7894, 0.3222)  1 Bi 2.12
O (0.8644, 0.9693, 0.1098)  1 Bi 2.14, 1 Sr 2.37
O (0.8673, 0.5832, 0.3340)  2 Cu 1.88-1.97
O (0.8751, 0.3451, 0.7270)  1 Bi 2.19, 1 Sr 2.41
O (0.8897, 0.4766, 0.4311)  2 Cu 1.92
O (0.8995, 0.1419, 0.9155)  1 Bi 2.20, 1 Sr 2.40
O (0.8999, 0.3659, 0.5311)  2 Cu 1.87-1.89
O (0.9107, 0.6660, 0.2299)  2 Cu 1.86-1.87
O (0.9335, 0.2496, 0.6274)  2 Cu 1.94-1.96
O (0.9359, 0.3592, 0.3405)  1 Bi 2.36, 1 Sr 2.58
O (0.9397, 0.7483, 0.1272)  2 Cu 1.93-1.95
O (0.9557, 0.1560, 0.5290)  1 Bi 2.34, 1 Sr 2.58
O (0.9588, 0.9149, 0.7370)  1 Bi 2.39, 1 Cu 2.55
O (0.9625, 0.1304, 0.7224)  2 Cu 1.87-1.89
O (0.9659, 0.5318, 0.1462)  1 Bi 2.34, 1 Sr 2.61
O (0.9662, 0.8343, 0.0247)  2 Cu 1.87
O (0.9876, 0.9203, 0.9203)  2 Cu 1.87-1.95
O (0.9894, 0.6728, 0.5795)  2 Bi 2.22-2.26

(2)
Density functional theory data (PBE) for a geometry-optimized Sr2TmCu2Bi2O8 structure.

Values from the calculation:
Formation enthalpy at 0 K in eV per atom: -2.166
MP2020-corrected energy in eV per atom: -6.394
Calculated density in g/cm³: 7.86

abc: 3.7627 3.7627 30.3701
angles: 90.00 90.00 90.00
Closest atoms and distances in Å follow each position.
Space group I4/mmm (No. 139)
One atom of each set of equivalent atoms:
Sr (0.0000, 0.0000, 0.1153)  9 O 2.67-2.79
Tm (0.0000, 0.0000, 0.0000)  8 O 2.37
Cu (0.0000, 0.0000, 0.4474)  4 O 1.89
Bi (0.0000, 0.0000, 0.2947)  1 O 2.14
O (0.0000, 0.0000, 0.2032)  5 Bi 2.66-2.78, 1 Sr 2.67
O (0.0000, 0.0000, 0.3652)  1 Bi 2.14
O (0.0000, 0.5000, 0.0473)  2 Cu 1.89

The lowest formation enthalpy at 0 K belongs to which entry?
Sr2TmCu2Bi2O8

Repeat the second record exactly.
Density functional theory data (PBE) for a geometry-optimized Sr2TmCu2Bi2O8 structure.

Values from the calculation:
Formation enthalpy at 0 K in eV per atom: -2.166
MP2020-corrected energy in eV per atom: -6.394
Calculated density in g/cm³: 7.86

abc: 3.7627 3.7627 30.3701
angles: 90.00 90.00 90.00
Closest atoms and distances in Å follow each position.
Space group I4/mmm (No. 139)
One atom of each set of equivalent atoms:
Sr (0.0000, 0.0000, 0.1153)  9 O 2.67-2.79
Tm (0.0000, 0.0000, 0.0000)  8 O 2.37
Cu (0.0000, 0.0000, 0.4474)  4 O 1.89
Bi (0.0000, 0.0000, 0.2947)  1 O 2.14
O (0.0000, 0.0000, 0.2032)  5 Bi 2.66-2.78, 1 Sr 2.67
O (0.0000, 0.0000, 0.3652)  1 Bi 2.14
O (0.0000, 0.5000, 0.0473)  2 Cu 1.89